Record 1
Cs3HgCl5 after structural relaxation, computed with meta-GGA r2SCAN.

Electronic total energy ... -683.7 eV/cell

a b c (Å): 8.912 10.889 13.612
angles (deg): 90.00 90.00 90.00
Space group Pnma (No. 62)
Asymmetric unit:
Cs1 0.088 0.022 0.166
Cs2 0.088 0.250 0.451
Hg1 0.208 0.250 0.883
Cl1 0.035 0.750 0.012
Cl2 0.122 0.250 0.708
Cl3 0.165 0.750 0.739
Cl4 0.188 0.548 0.431

=====

Record 2
Cs8Na4Y3HoCl24 after structural relaxation, computed with meta-GGA r2SCAN.

Electronic total energy ... -552.4 eV/cell

a b c (Å): 7.589 7.589 21.466
angles (deg): 90.00 90.00 90.00
Space group P4/mmm (No. 123)
Asymmetric unit:
Cs1 0.000 0.500 0.125
Cs2 0.000 0.500 0.375
Na1 0.000 0.000 0.000
Na2 0.000 0.000 0.500
Na3 0.500 0.500 0.250
Y1 0.000 0.000 0.250
Y2 0.500 0.500 0.000
Ho1 0.500 0.500 0.500
Cl1 0.000 0.000 0.128
Cl2 0.000 0.000 0.372
Cl3 0.245 0.245 0.250
Cl4 0.255 0.255 0.000
Cl5 0.256 0.256 0.500
Cl6 0.500 0.500 0.122
Cl7 0.500 0.500 0.378

=====

Record 3
CsInCl3 after structural relaxation, computed with meta-GGA r2SCAN.

Electronic total energy ... -594.9 eV/cell

a b c (Å): 11.020 11.020 11.020
angles (deg): 90.00 90.00 90.00
Space group Fm-3m (No. 225)
Asymmetric unit:
Cs1 0.250 0.250 0.250
In1 0.000 0.000 0.000
In2 0.000 0.000 0.500
Cl1 0.000 0.000 0.230

=====

Record 4
Cs2KYbCl6 after structural relaxation, computed with meta-GGA r2SCAN.

Electronic total energy ... -615.0 eV/cell

a b c (Å): 11.088 11.088 11.088
angles (deg): 90.00 90.00 90.00
Space group Fm-3m (No. 225)
Asymmetric unit:
Cs1 0.250 0.250 0.250
K1 0.000 0.000 0.000
Yb1 0.000 0.000 0.500
Cl1 0.000 0.000 0.268

=====

Repeat the second record exactly.
Cs8Na4Y3HoCl24 after structural relaxation, computed with meta-GGA r2SCAN.

Electronic total energy ... -552.4 eV/cell

a b c (Å): 7.589 7.589 21.466
angles (deg): 90.00 90.00 90.00
Space group P4/mmm (No. 123)
Asymmetric unit:
Cs1 0.000 0.500 0.125
Cs2 0.000 0.500 0.375
Na1 0.000 0.000 0.000
Na2 0.000 0.000 0.500
Na3 0.500 0.500 0.250
Y1 0.000 0.000 0.250
Y2 0.500 0.500 0.000
Ho1 0.500 0.500 0.500
Cl1 0.000 0.000 0.128
Cl2 0.000 0.000 0.372
Cl3 0.245 0.245 0.250
Cl4 0.255 0.255 0.000
Cl5 0.256 0.256 0.500
Cl6 0.500 0.500 0.122
Cl7 0.500 0.500 0.378